Entry 1:
## Ca2AuN (meta-GGA r2SCAN)

Data for crystalline Ca2AuN at its relaxed geometry.

Summary:
calculated total energy: -19.3711 eV per atom

abc: 3.551 18.103 4.927
angles: 90.00 90.00 90.00
Element x y z (fractional)
1 Ca 0.000 0.104 0.250
2 Ca 0.000 0.284 0.250
3 Ca 0.000 0.716 0.750
4 Ca 0.000 0.896 0.750
5 Ca 0.500 0.216 0.750
6 Ca 0.500 0.396 0.750
7 Ca 0.500 0.604 0.250
8 Ca 0.500 0.784 0.250
9 Au 0.000 0.460 0.250
10 Au 0.000 0.540 0.750
11 Au 0.500 0.040 0.750
12 Au 0.500 0.960 0.250
13 N 0.000 0.307 0.750
14 N 0.000 0.693 0.250
15 N 0.500 0.193 0.250
16 N 0.500 0.807 0.750

***

Entry 2:
## CsVBr3 (meta-GGA r2SCAN)

Data for crystalline CsVBr3 at its relaxed geometry.

Summary:
calculated total energy: -17.4317 eV per atom

abc: 7.627 7.627 6.475
angles: 90.00 90.00 120.00
Element x y z (fractional)
1 Cs 0.333 0.667 0.250
2 Cs 0.667 0.333 0.750
3 V 0.000 0.000 0.000
4 V 0.000 0.000 0.500
5 Br 0.159 0.318 0.750
6 Br 0.159 0.841 0.750
7 Br 0.318 0.159 0.250
8 Br 0.682 0.841 0.750
9 Br 0.841 0.159 0.250
10 Br 0.841 0.682 0.250

***

Entry 3:
## EuAlAg4 (meta-GGA r2SCAN)

Data for crystalline EuAlAg4 at its relaxed geometry.

Summary:
calculated total energy: -21.9740 eV per atom

abc: 5.688 5.688 4.481
angles: 90.00 90.00 120.00
Element x y z (fractional)
1 Eu 0.000 0.000 0.000
2 Al 0.333 0.667 0.000
3 Ag 0.005 0.502 0.500
4 Ag 0.498 0.502 0.500
5 Ag 0.498 0.995 0.500
6 Ag 0.667 0.333 0.000

***

Please write out number 2 again, unchanged.
## CsVBr3 (meta-GGA r2SCAN)

Data for crystalline CsVBr3 at its relaxed geometry.

Summary:
calculated total energy: -17.4317 eV per atom

abc: 7.627 7.627 6.475
angles: 90.00 90.00 120.00
Element x y z (fractional)
1 Cs 0.333 0.667 0.250
2 Cs 0.667 0.333 0.750
3 V 0.000 0.000 0.000
4 V 0.000 0.000 0.500
5 Br 0.159 0.318 0.750
6 Br 0.159 0.841 0.750
7 Br 0.318 0.159 0.250
8 Br 0.682 0.841 0.750
9 Br 0.841 0.159 0.250
10 Br 0.841 0.682 0.250